(1)
Density functional theory data (GGA-PBE) for crystalline RbPO4 at its relaxed geometry.

Cell and atoms, written as CIF:
```
data_RbPO4
_chemical_formula_sum 'Rb2 P2 O8'
_space_group_name_H-M_alt 'P 1 21/m 1'
_space_group_IT_number 11
_space_group_name_Hall '-P 2yb'
_cell_length_a 5.272
_cell_length_b 5.866
_cell_length_c 7.795
_cell_angle_alpha 90.00
_cell_angle_beta 104.61
_cell_angle_gamma 90.00
loop_
_atom_site_label
_atom_site_fract_x
_atom_site_fract_y
_atom_site_fract_z
_atom_site_occupancy
Rb1 0.250 0.250 0.236 1
P1 0.268 0.250 0.749 1
O1 0.039 0.250 0.578 1
O2 0.250 0.037 0.861 1
O3 0.491 0.750 0.330 1
```

Summary:
The calculation puts the formation energy at -196.2 kJ per mole of atoms.

(2)
Density functional theory data (GGA-PBE) for crystalline Rb3P3O10 at its relaxed geometry.

Cell and atoms, written as CIF:
```
data_Rb3P3O10
_chemical_formula_sum 'Rb6 P6 O20'
_space_group_name_H-M_alt 'P -1'
_space_group_IT_number 2
_space_group_name_Hall '-P 1'
_cell_length_a 7.795
_cell_length_b 7.877
_cell_length_c 10.318
_cell_angle_alpha 86.00
_cell_angle_beta 68.65
_cell_angle_gamma 83.88
loop_
_atom_site_label
_atom_site_fract_x
_atom_site_fract_y
_atom_site_fract_z
_atom_site_occupancy
Rb1 0.209 0.379 0.117 1
Rb2 0.256 0.906 0.845 1
Rb3 0.275 0.237 0.502 1
P1 0.207 0.748 0.504 1
P2 0.239 0.918 0.233 1
P3 0.498 0.371 0.756 1
O1 0.014 0.291 0.908 1
O2 0.052 0.657 0.604 1
O3 0.105 0.948 0.156 1
O4 0.125 0.852 0.391 1
O5 0.314 0.862 0.551 1
O6 0.346 0.270 0.755 1
O7 0.349 0.063 0.232 1
O8 0.353 0.603 0.402 1
O9 0.372 0.746 0.170 1
O10 0.457 0.541 0.822 1
```

Summary:
The calculation puts the formation energy at -230.0 kJ per mole of atoms.